Record 1
This record from the Materials Project database describes a geometry-optimized Mg2Sb structure. The functional is PBE.

Structure (CIF):
```
data_Mg2Sb
_cell_length_a 12.8393
_cell_length_b 3.2366
_cell_length_c 7.3056
_cell_angle_alpha 90.00
_cell_angle_beta 106.91
_cell_angle_gamma 90.00
_symmetry_space_group_name_H-M 'C 1 2/m 1'
_symmetry_Int_Tables_number 12
_symmetry_space_group_name_Hall '-C 2y'
loop_
_atom_site_label
_atom_site_type_symbol
_atom_site_fract_x
_atom_site_fract_y
_atom_site_fract_z
Mg1 Mg 0.0275 0.0000 0.3090
Mg2 Mg 0.1943 0.5000 0.6381
Sb1 Sb 0.1324 0.5000 0.0274
```

- ΔE_f (kJ per mole of atoms) = -9
- uncorrected energy (eV/atom) = -2.473
- M_tot (μB/f.u.) = 0.0
- energy with MP2020 corrections (eV/atom) = -2.5368



Record 2
This record from the Materials Project database describes a geometry-optimized MgSb structure. The functional is PBE.

Structure (CIF):
```
data_MgSb
_cell_length_a 5.6199
_cell_length_b 3.1310
_cell_length_c 5.6250
_cell_angle_alpha 90.00
_cell_angle_beta 90.00
_cell_angle_gamma 90.00
_symmetry_space_group_name_H-M 'P m m a'
_symmetry_Int_Tables_number 51
_symmetry_space_group_name_Hall '-P 2a 2a'
loop_
_atom_site_label
_atom_site_type_symbol
_atom_site_fract_x
_atom_site_fract_y
_atom_site_fract_z
Mg1 Mg 0.2500 0.0000 0.2409
Sb1 Sb 0.2500 0.5000 0.7442
```

- ΔE_f (kJ per mole of atoms) = -21
- uncorrected energy (eV/atom) = -2.987
- M_tot (μB/f.u.) = 0.0
- energy with MP2020 corrections (eV/atom) = -3.0825



Record 3
This record from the Materials Project database describes a geometry-optimized MgSb structure. The functional is PBE.

Structure (CIF):
```
data_MgSb
_cell_length_a 11.4900
_cell_length_b 3.2017
_cell_length_c 5.4466
_cell_angle_alpha 90.00
_cell_angle_beta 96.28
_cell_angle_gamma 90.00
_symmetry_space_group_name_H-M 'C 1 2/m 1'
_symmetry_Int_Tables_number 12
_symmetry_space_group_name_Hall '-C 2y'
loop_
_atom_site_label
_atom_site_type_symbol
_atom_site_fract_x
_atom_site_fract_y
_atom_site_fract_z
Mg1 Mg 0.1219 0.0000 0.2892
Sb1 Sb 0.1220 0.5000 0.7811
```

- ΔE_f (kJ per mole of atoms) = -23
- uncorrected energy (eV/atom) = -3.009
- M_tot (μB/f.u.) = 0.0
- energy with MP2020 corrections (eV/atom) = -3.1049



Record 4
This record from the Materials Project database describes a geometry-optimized MgSb structure. The functional is PBE.

Structure (CIF):
```
data_MgSb
_cell_length_a 12.2605
_cell_length_b 3.3662
_cell_length_c 7.8308
_cell_angle_alpha 90.00
_cell_angle_beta 107.03
_cell_angle_gamma 90.00
_symmetry_space_group_name_H-M 'C 1 m 1'
_symmetry_Int_Tables_number 8
_symmetry_space_group_name_Hall 'C -2y'
loop_
_atom_site_label
_atom_site_type_symbol
_atom_site_fract_x
_atom_site_fract_y
_atom_site_fract_z
Mg1 Mg 0.0000 0.0000 0.0000
Mg2 Mg 0.0986 0.5000 0.6739
Mg3 Mg 0.3221 0.0000 0.6174
Sb1 Sb 0.1632 0.5000 0.3271
Sb2 Sb 0.2670 0.0000 0.9450
Sb3 Sb 0.4248 0.5000 0.3830
```

- ΔE_f (kJ per mole of atoms) = -15
- uncorrected energy (eV/atom) = -2.923
- M_tot (μB/f.u.) = 0.0
- energy with MP2020 corrections (eV/atom) = -3.0190



Record 5
This record from the Materials Project database describes a geometry-optimized Mg15Sb structure. The functional is PBE.

Structure (CIF):
```
data_Mg15Sb
_cell_length_a 6.3682
_cell_length_b 6.3682
_cell_length_c 10.4799
_cell_angle_alpha 90.00
_cell_angle_beta 90.00
_cell_angle_gamma 120.00
_symmetry_space_group_name_H-M 'P -6 m 2'
_symmetry_Int_Tables_number 187
_symmetry_space_group_name_Hall 'P -6 2'
loop_
_atom_site_label
_atom_site_type_symbol
_atom_site_fract_x
_atom_site_fract_y
_atom_site_fract_z
Mg1 Mg 0.0000 0.0000 0.0000
Mg2 Mg 0.0005 0.5002 0.0000
Mg3 Mg 0.1671 0.3342 0.2498
Mg4 Mg 0.5004 0.0008 0.5000
Mg5 Mg 0.6667 0.3333 0.2499
Sb1 Sb 0.0000 0.0000 0.5000
```

- ΔE_f (kJ per mole of atoms) = -4
- uncorrected energy (eV/atom) = -1.785
- energy with MP2020 corrections (eV/atom) = -1.7969



Record 6
This record from the Materials Project database describes a geometry-optimized Mg2Sb structure. The functional is PBE.

Structure (CIF):
```
data_Mg2Sb
_cell_length_a 4.9096
_cell_length_b 3.2990
_cell_length_c 18.0058
_cell_angle_alpha 90.00
_cell_angle_beta 90.00
_cell_angle_gamma 90.00
_symmetry_space_group_name_H-M 'A m m 2'
_symmetry_Int_Tables_number 38
_symmetry_space_group_name_Hall 'A 2 -2'
loop_
_atom_site_label
_atom_site_type_symbol
_atom_site_fract_x
_atom_site_fract_y
_atom_site_fract_z
Mg1 Mg 0.0000 0.0000 0.0000
Mg2 Mg 0.0000 0.0000 0.3277
Mg3 Mg 0.0000 0.0000 0.6611
Mg4 Mg 0.5000 0.0000 0.5538
Sb1 Sb 0.5000 0.0000 0.2034
Sb2 Sb 0.5000 0.0000 0.9046
```

- ΔE_f (kJ per mole of atoms) = -19
- uncorrected energy (eV/atom) = -2.571
- M_tot (μB/f.u.) = 0.0
- energy with MP2020 corrections (eV/atom) = -2.6352